[1]
Compound: Ba3LuIr2O9
Source: the Materials Project database
Functional: PBE
Structure: relaxed

Symmetry: P6_3/mmc, No. 194
ΔE_f, eV per formula unit: -38.48
Calculated volume, Å³/f.u.: 221
Calculated total energy, eV per atom: -6.986

Cell and atoms, written as CIF:
```
data_Ba3LuIr2O9
_cell_length_a 5.910
_cell_length_b 5.910
_cell_length_c 14.615
_cell_angle_alpha 90.00
_cell_angle_beta 90.00
_cell_angle_gamma 120.00
_symmetry_space_group_name_H-M 'P 1'
_symmetry_Int_Tables_number 1
_symmetry_space_group_name_Hall 'P 1'
loop_
_atom_site_label
_atom_site_type_symbol
_atom_site_fract_x
_atom_site_fract_y
_atom_site_fract_z
O1 O 0.508 0.492 0.750
O2 O 0.174 0.826 0.414
O3 O 0.826 0.653 0.586
O4 O 0.174 0.826 0.086
O5 O 0.826 0.653 0.914
O6 O 0.826 0.174 0.586
O7 O 0.347 0.174 0.586
O8 O 0.017 0.508 0.250
O9 O 0.508 0.017 0.750
O10 O 0.653 0.826 0.414
O11 O 0.492 0.508 0.250
O12 O 0.653 0.826 0.086
O13 O 0.174 0.347 0.414
O14 O 0.347 0.174 0.914
O15 O 0.492 0.983 0.250
O16 O 0.174 0.347 0.086
O17 O 0.983 0.492 0.750
O18 O 0.826 0.174 0.914
Ir1 Ir 0.333 0.667 0.163
Ir2 Ir 0.667 0.333 0.663
Ir3 Ir 0.333 0.667 0.337
Ir4 Ir 0.667 0.333 0.837
Ba1 Ba 0.333 0.667 0.908
Ba2 Ba 0.000 0.000 0.250
Ba3 Ba 0.000 0.000 0.750
Ba4 Ba 0.667 0.333 0.092
Ba5 Ba 0.667 0.333 0.408
Ba6 Ba 0.333 0.667 0.592
Lu1 Lu 0.000 0.000 0.000
Lu2 Lu 0.000 0.000 0.500
```

=====

[2]
Compound: NdV2Fe10N
Source: the Materials Project database
Functional: PBE
Structure: relaxed

Symmetry: Immm, No. 71
ΔE_f, eV per formula unit: -1.88
Calculated volume, Å³/f.u.: 177
Calculated total energy, eV per atom: -8.392

Cell and atoms, written as CIF:
```
data_NdV2Fe10N
_cell_length_a 6.522
_cell_length_b 6.522
_cell_length_c 6.522
_cell_angle_alpha 136.55
_cell_angle_beta 98.23
_cell_angle_gamma 97.52
_symmetry_space_group_name_H-M 'P 1'
_symmetry_Int_Tables_number 1
_symmetry_space_group_name_Hall 'P 1'
loop_
_atom_site_label
_atom_site_type_symbol
_atom_site_fract_x
_atom_site_fract_y
_atom_site_fract_z
Fe1 Fe 0.000 0.500 0.000
Fe2 Fe 0.362 0.000 0.362
Fe3 Fe 0.638 0.000 0.638
Fe4 Fe 0.224 0.724 0.500
Fe5 Fe 0.500 0.000 0.000
Fe6 Fe 0.225 0.500 0.725
Fe7 Fe 0.775 0.500 0.275
Fe8 Fe 0.500 0.500 0.500
Fe9 Fe 0.776 0.276 0.500
Fe10 Fe 0.000 0.000 0.500
V1 V 0.360 0.360 0.000
V2 V 0.640 0.640 0.000
N1 N 0.000 0.500 0.500
Nd1 Nd 0.000 0.000 0.000
```

=====

[3]
Compound: KNb2O5
Source: the Materials Project database
Functional: PBE
Structure: relaxed

Symmetry: Pc, No. 7
ΔE_f, eV per formula unit: -22.57
Calculated volume, Å³/f.u.: 115
Calculated total energy, eV per atom: -8.149

Cell and atoms, written as CIF:
```
data_KNb2O5
_cell_length_a 12.962
_cell_length_b 4.119
_cell_length_c 12.935
_cell_angle_alpha 88.68
_cell_angle_beta 90.00
_cell_angle_gamma 90.00
_symmetry_space_group_name_H-M 'P 1'
_symmetry_Int_Tables_number 1
_symmetry_space_group_name_Hall 'P 1'
loop_
_atom_site_label
_atom_site_type_symbol
_atom_site_fract_x
_atom_site_fract_y
_atom_site_fract_z
O1 O 0.748 0.052 0.150
O2 O 0.963 0.032 0.787
O3 O 0.528 0.532 0.577
O4 O 0.463 0.036 0.711
O5 O 0.252 0.035 0.343
O6 O 0.107 0.036 0.069
O7 O 0.043 0.540 0.924
O8 O 0.827 0.540 0.706
O9 O 0.682 0.033 0.642
O10 O 0.391 0.027 0.934
O11 O 0.748 0.035 0.843
O12 O 0.893 0.036 0.569
O13 O 0.037 0.032 0.287
O14 O 0.173 0.540 0.206
O15 O 0.609 0.027 0.434
O16 O 0.180 0.036 0.859
O17 O 0.472 0.532 0.077
O18 O 0.820 0.036 0.359
O19 O 0.095 0.033 0.502
O20 O 0.318 0.033 0.142
O21 O 0.252 0.052 0.650
O22 O 0.329 0.548 0.782
O23 O 0.262 0.535 0.510
O24 O 0.905 0.033 0.002
O25 O 0.401 0.065 0.509
O26 O 0.957 0.540 0.424
O27 O 0.738 0.535 0.010
O28 O 0.599 0.065 0.009
O29 O 0.537 0.036 0.211
O30 O 0.671 0.548 0.282
Nb1 Nb 0.957 0.988 0.421
Nb2 Nb 0.165 0.987 0.206
Nb3 Nb 0.835 0.987 0.706
Nb4 Nb 0.761 0.001 0.987
Nb5 Nb 0.679 0.033 0.295
Nb6 Nb 0.553 0.013 0.573
Nb7 Nb 0.043 0.988 0.921
Nb8 Nb 0.321 0.033 0.795
Nb9 Nb 0.447 0.013 0.073
Nb10 Nb 0.372 0.392 0.632
Nb11 Nb 0.628 0.392 0.132
Nb12 Nb 0.239 0.001 0.487
K1 K 0.414 0.513 0.327
K2 K 0.586 0.513 0.827
K3 K 0.244 0.520 0.001
K4 K 0.756 0.520 0.501
K5 K 0.929 0.507 0.171
K6 K 0.071 0.507 0.671
```

=====

[4]
Compound: Sm2Pd2Pb
Source: the Materials Project database
Functional: PBE
Structure: relaxed

Symmetry: P4/mbm, No. 127
ΔE_f, eV per formula unit: -4.06
Calculated volume, Å³/f.u.: 120
Calculated total energy, eV per atom: -5.514

Cell and atoms, written as CIF:
```
data_Sm2Pd2Pb
_cell_length_a 7.961
_cell_length_b 7.961
_cell_length_c 3.782
_cell_angle_alpha 90.00
_cell_angle_beta 90.00
_cell_angle_gamma 90.00
_symmetry_space_group_name_H-M 'P 1'
_symmetry_Int_Tables_number 1
_symmetry_space_group_name_Hall 'P 1'
loop_
_atom_site_label
_atom_site_type_symbol
_atom_site_fract_x
_atom_site_fract_y
_atom_site_fract_z
Sm1 Sm 0.675 0.175 0.500
Sm2 Sm 0.175 0.325 0.500
Sm3 Sm 0.325 0.825 0.500
Sm4 Sm 0.825 0.675 0.500
Pb1 Pb 0.000 0.000 0.000
Pb2 Pb 0.500 0.500 0.000
Pd1 Pd 0.124 0.624 0.000
Pd2 Pd 0.376 0.124 0.000
Pd3 Pd 0.624 0.876 0.000
Pd4 Pd 0.876 0.376 0.000
```

=====

[5]
Compound: TiTl2F6
Source: the Materials Project database
Functional: PBE
Structure: relaxed

Symmetry: P-3m1, No. 164
ΔE_f, eV per formula unit: -27.50
Calculated volume, Å³/f.u.: 156
Calculated total energy, eV per atom: -5.427

Cell and atoms, written as CIF:
```
data_TiTl2F6
_cell_length_a 6.039
_cell_length_b 6.039
_cell_length_c 4.952
_cell_angle_alpha 90.00
_cell_angle_beta 90.00
_cell_angle_gamma 120.00
_symmetry_space_group_name_H-M 'P 1'
_symmetry_Int_Tables_number 1
_symmetry_space_group_name_Hall 'P 1'
loop_
_atom_site_label
_atom_site_type_symbol
_atom_site_fract_x
_atom_site_fract_y
_atom_site_fract_z
F1 F 0.850 0.700 0.784
F2 F 0.300 0.150 0.784
F3 F 0.150 0.850 0.216
F4 F 0.850 0.150 0.784
F5 F 0.150 0.300 0.216
F6 F 0.700 0.850 0.216
Ti1 Ti 0.000 0.000 0.000
Tl1 Tl 0.667 0.333 0.311
Tl2 Tl 0.333 0.667 0.689
```

=====

[6]
Compound: BaLaCuTe3
Source: the Materials Project database
Functional: PBE
Structure: relaxed

Symmetry: Pnma, No. 62
ΔE_f, eV per formula unit: -9.11
Calculated volume, Å³/f.u.: 205
Calculated total energy, eV per atom: -4.704

Cell and atoms, written as CIF:
```
data_BaLaCuTe3
_cell_length_a 4.550
_cell_length_b 11.986
_cell_length_c 15.007
_cell_angle_alpha 90.00
_cell_angle_beta 90.00
_cell_angle_gamma 90.00
_symmetry_space_group_name_H-M 'P 1'
_symmetry_Int_Tables_number 1
_symmetry_space_group_name_Hall 'P 1'
loop_
_atom_site_label
_atom_site_type_symbol
_atom_site_fract_x
_atom_site_fract_y
_atom_site_fract_z
Ba1 Ba 0.750 0.225 0.498
Ba2 Ba 0.250 0.275 0.998
Ba3 Ba 0.750 0.725 0.002
Ba4 Ba 0.250 0.775 0.502
Cu1 Cu 0.750 0.262 0.219
Cu2 Cu 0.750 0.762 0.281
Cu3 Cu 0.250 0.238 0.719
Cu4 Cu 0.250 0.738 0.781
Te1 Te 0.250 0.555 0.883
Te2 Te 0.250 0.055 0.617
Te3 Te 0.250 0.263 0.321
Te4 Te 0.750 0.092 0.105
Te5 Te 0.750 0.737 0.679
Te6 Te 0.750 0.237 0.821
Te7 Te 0.750 0.945 0.383
Te8 Te 0.250 0.763 0.179
Te9 Te 0.750 0.445 0.117
Te10 Te 0.250 0.908 0.895
Te11 Te 0.750 0.592 0.395
Te12 Te 0.250 0.408 0.605
La1 La 0.250 0.017 0.242
La2 La 0.750 0.483 0.742
La3 La 0.750 0.983 0.758
La4 La 0.250 0.517 0.258
```

=====

Please write out number 5 again, unchanged.
Compound: TiTl2F6
Source: the Materials Project database
Functional: PBE
Structure: relaxed

Symmetry: P-3m1, No. 164
ΔE_f, eV per formula unit: -27.50
Calculated volume, Å³/f.u.: 156
Calculated total energy, eV per atom: -5.427

Cell and atoms, written as CIF:
```
data_TiTl2F6
_cell_length_a 6.039
_cell_length_b 6.039
_cell_length_c 4.952
_cell_angle_alpha 90.00
_cell_angle_beta 90.00
_cell_angle_gamma 120.00
_symmetry_space_group_name_H-M 'P 1'
_symmetry_Int_Tables_number 1
_symmetry_space_group_name_Hall 'P 1'
loop_
_atom_site_label
_atom_site_type_symbol
_atom_site_fract_x
_atom_site_fract_y
_atom_site_fract_z
F1 F 0.850 0.700 0.784
F2 F 0.300 0.150 0.784
F3 F 0.150 0.850 0.216
F4 F 0.850 0.150 0.784
F5 F 0.150 0.300 0.216
F6 F 0.700 0.850 0.216
Ti1 Ti 0.000 0.000 0.000
Tl1 Tl 0.667 0.333 0.311
Tl2 Tl 0.333 0.667 0.689
```

=====

- Look up the calculated volume of the fifth one.
  156 Å³/f.u.

=====

What did the second record say?
Compound: NdV2Fe10N
Source: the Materials Project database
Functional: PBE
Structure: relaxed

Symmetry: Immm, No. 71
ΔE_f, eV per formula unit: -1.88
Calculated volume, Å³/f.u.: 177
Calculated total energy, eV per atom: -8.392

Cell and atoms, written as CIF:
```
data_NdV2Fe10N
_cell_length_a 6.522
_cell_length_b 6.522
_cell_length_c 6.522
_cell_angle_alpha 136.55
_cell_angle_beta 98.23
_cell_angle_gamma 97.52
_symmetry_space_group_name_H-M 'P 1'
_symmetry_Int_Tables_number 1
_symmetry_space_group_name_Hall 'P 1'
loop_
_atom_site_label
_atom_site_type_symbol
_atom_site_fract_x
_atom_site_fract_y
_atom_site_fract_z
Fe1 Fe 0.000 0.500 0.000
Fe2 Fe 0.362 0.000 0.362
Fe3 Fe 0.638 0.000 0.638
Fe4 Fe 0.224 0.724 0.500
Fe5 Fe 0.500 0.000 0.000
Fe6 Fe 0.225 0.500 0.725
Fe7 Fe 0.775 0.500 0.275
Fe8 Fe 0.500 0.500 0.500
Fe9 Fe 0.776 0.276 0.500
Fe10 Fe 0.000 0.000 0.500
V1 V 0.360 0.360 0.000
V2 V 0.640 0.640 0.000
N1 N 0.000 0.500 0.500
Nd1 Nd 0.000 0.000 0.000
```